A plane-wave DFT calculation with PBE with a Hubbard U was carried out for an optimized crystal structure of MgMn12O14F10. Values from VASP.

Summary:
Energy above the lowest structure with this stoichiometry in eV per atom: 0.056
V in Å³ per cell: 422.8
Size of the total moment in μB/f.u.: 47.90
ΔH_f (0 K) in eV per atom: -2.22
Calculated total energy in eV/atom: -6.696
Total energy after the MP2020 corrections in eV/f.u.: -282.02

```
&SYSTEM
  ibrav = 0, nat = 37, ntyp = 4
/
ATOMIC_SPECIES
Mg 24.30 Mg.upf
Mn 54.94 Mn.upf
O 16.00 O.upf
F 19.00 F.upf
ATOMIC_POSITIONS angstrom
Mg 0.000 0.000 0.000
Mn 2.461 5.262 12.180
Mn 2.397 1.427 9.720
Mn 2.537 5.372 7.177
Mn 2.689 1.883 14.563
Mn 2.406 1.549 4.680
Mn 2.541 5.307 2.166
Mn 4.583 4.200 15.056
Mn 4.676 2.405 12.344
Mn 4.651 2.420 7.341
Mn 4.786 4.099 9.950
Mn 4.547 2.537 2.298
Mn 4.698 4.186 4.748
O 0.674 2.480 14.321
O 0.491 3.696 0.875
O 0.964 3.978 11.602
O 1.026 2.674 8.965
O 1.052 2.784 3.875
O 3.086 5.074 0.090
O 3.368 1.059 12.930
O 3.504 5.486 10.533
O 3.304 1.158 8.061
O 3.323 1.259 3.083
O 3.565 5.604 5.541
O 3.663 2.769 10.719
O 3.685 2.803 5.674
O 3.713 4.031 3.107
F 1.236 5.519 13.981
F 0.775 0.923 1.469
F 1.118 4.112 6.420
F 1.181 1.147 11.269
F 1.279 5.417 8.844
F 1.281 5.507 3.907
F 1.238 1.315 6.278
F 3.299 3.829 13.565
F 3.016 2.055 0.582
F 3.692 4.021 8.267
CELL_PARAMETERS angstrom
4.756 0.000 0.000
0.193 5.679 0.000
0.471 0.857 15.652
```